one:
First-principles (PBE) data for crystalline Ge at its relaxed geometry, as listed in Materials Project.

POSCAR file:
```
Ge
1.0
-1.6960 1.6960 1.6960
1.6960 -1.6960 1.6960
1.6960 1.6960 -1.6960
Ge
1
Direct
0.0000 0.0000 0.0000 Ge
```

**ρ**: 6.2 g/cm3



two:
First-principles (PBE) data for crystalline Ge at its relaxed geometry, as listed in Materials Project.

POSCAR file:
```
Ge
1.0
0.0000 2.8814 2.8814
2.8814 0.0000 2.8814
2.8814 2.8814 0.0000
Ge
2
Direct
0.1250 0.1250 0.1250 Ge
0.8750 0.8750 0.8750 Ge
```

**ρ**: 5.0 g/cm3



How do the energies compare? Relative to the most stable structure, in kJ/mol of atoms: one 32.8; two 0.0.



one:
First-principles (PBE) data for crystalline Li2SnP2O7 at its relaxed geometry, as listed in Materials Project.

POSCAR file:
```
Li2SnP2O7
1.0
5.3713 0.0000 0.0000
-2.4818 6.5668 0.0000
-0.5066 -3.1781 8.3466
Li Sn P O
4 2 4 14
Direct
0.1015 0.3213 0.0027 Li
0.3568 0.6191 0.7712 Li
0.6432 0.3809 0.2288 Li
0.8985 0.6787 0.9973 Li
0.1350 0.1241 0.3516 Sn
0.8650 0.8759 0.6484 Sn
0.2359 0.6152 0.3561 P
0.4798 0.8427 0.1447 P
0.5202 0.1573 0.8553 P
0.7641 0.3848 0.6439 P
0.0206 0.3564 0.6916 O
0.2188 0.0778 0.8685 O
0.2351 0.3905 0.2441 O
0.2988 0.6371 0.0059 O
0.3248 0.6592 0.5321 O
0.3666 0.0221 0.1685 O
0.4826 0.7943 0.3116 O
0.5174 0.2057 0.6884 O
0.6334 0.9779 0.8315 O
0.6752 0.3408 0.4679 O
0.7012 0.3629 0.9941 O
0.7649 0.6095 0.7559 O
0.7812 0.9222 0.1315 O
0.9794 0.6436 0.3084 O
```

**ρ**: 3.5 g/cm3



two:
First-principles (PBE) data for crystalline Li2SnP2O7 at its relaxed geometry, as listed in Materials Project.

POSCAR file:
```
Li2SnP2O7
1.0
3.6631 -6.3490 0.0000
3.6631 6.3490 0.0000
-0.1612 0.0000 13.1716
Li Sn P O
8 4 8 28
Direct
0.2152 0.7532 0.4946 Li
0.2187 0.7813 0.7500 Li
0.2390 0.7610 0.2500 Li
0.2468 0.7848 0.0054 Li
0.7532 0.2152 0.9946 Li
0.7610 0.2390 0.7500 Li
0.7813 0.2187 0.2500 Li
0.7848 0.2468 0.5054 Li
0.1573 0.1673 0.6211 Sn
0.1673 0.1573 0.1211 Sn
0.8327 0.8427 0.8789 Sn
0.8427 0.8327 0.3789 Sn
0.1545 0.3956 0.8559 P
0.2072 0.4176 0.3855 P
0.3956 0.1545 0.3559 P
0.4176 0.2072 0.8855 P
0.5824 0.7928 0.1145 P
0.6044 0.8455 0.6441 P
0.7928 0.5824 0.6145 P
0.8455 0.6044 0.1441 P
0.0064 0.7907 0.0790 O
0.0522 0.2715 0.3047 O
0.0901 0.3421 0.7421 O
0.1137 0.3560 0.4936 O
0.1845 0.6099 0.8821 O
0.2093 0.9936 0.4210 O
0.2715 0.0522 0.8047 O
0.2992 0.6526 0.3710 O
0.3421 0.0901 0.2421 O
0.3474 0.7008 0.1290 O
0.3560 0.1137 0.9936 O
0.3816 0.4122 0.8776 O
0.3901 0.8155 0.6179 O
0.4122 0.3816 0.3776 O
0.5878 0.6184 0.6224 O
0.6099 0.1845 0.3821 O
0.6184 0.5878 0.1224 O
0.6440 0.8863 0.0064 O
0.6526 0.2992 0.8710 O
0.6579 0.9099 0.7579 O
0.7008 0.3474 0.6290 O
0.7285 0.9478 0.1953 O
0.7907 0.0064 0.5790 O
0.8155 0.3901 0.1179 O
0.8863 0.6440 0.5064 O
0.9099 0.6579 0.2579 O
0.9478 0.7285 0.6953 O
0.9936 0.2093 0.9210 O
```

**ρ**: 3.3 g/cm3



How do the energies compare? Relative to the most stable structure, in kJ/mol of atoms: one 1.9; two 0.0.



one:
First-principles (PBE) data for crystalline ThNb4O12 at its relaxed geometry, as listed in Materials Project.

POSCAR file:
```
ThNb4O12
1.0
-2.8060 2.8060 7.9693
2.8060 -2.8060 7.9693
2.8060 2.8060 -7.9693
Th Nb O
1 4 12
Direct
0.0000 0.0000 0.0000 Th
0.1279 0.6279 0.5000 Nb
0.3721 0.8721 0.5000 Nb
0.6279 0.1279 0.5000 Nb
0.8721 0.3721 0.5000 Nb
0.0000 0.5000 0.5000 O
0.1227 0.1227 0.4702 O
0.1227 0.6525 0.0000 O
0.2500 0.7500 0.5000 O
0.3475 0.3475 0.4702 O
0.3475 0.8773 0.0000 O
0.5000 0.0000 0.5000 O
0.6525 0.1227 0.0000 O
0.6525 0.6525 0.5298 O
0.7500 0.2500 0.5000 O
0.8773 0.3475 0.0000 O
0.8773 0.8773 0.5298 O
```

**ρ**: 5.3 g/cm3



two:
First-principles (PBE) data for crystalline ThNb4O12 at its relaxed geometry, as listed in Materials Project.

POSCAR file:
```
ThNb4O12
1.0
5.6047 0.0000 0.0000
0.0000 7.9066 0.0000
0.0000 0.0000 5.5762
Th Nb O
1 4 12
Direct
0.0000 0.0000 0.0000 Th
0.0000 0.2590 0.4987 Nb
0.0000 0.7410 0.4987 Nb
0.5000 0.2588 0.9982 Nb
0.5000 0.7412 0.9982 Nb
0.0000 0.0000 0.4110 O
0.0000 0.5000 0.5532 O
0.2329 0.1976 0.7565 O
0.2329 0.8024 0.7565 O
0.2425 0.2638 0.2349 O
0.2425 0.7362 0.2349 O
0.5000 0.0000 0.0459 O
0.5000 0.5000 0.9229 O
0.7575 0.2638 0.2349 O
0.7575 0.7362 0.2349 O
0.7671 0.1976 0.7565 O
0.7671 0.8024 0.7565 O
```

**ρ**: 5.3 g/cm3



How do the energies compare? Relative to the most stable structure, in kJ/mol of atoms: one 1.8; two 0.0.



one:
First-principles (PBE) data for crystalline Sc5Ga3 at its relaxed geometry, as listed in Materials Project.

POSCAR file:
```
Sc5Ga3
1.0
4.0460 -7.0400 0.0000
4.0460 7.0400 0.0000
-0.1360 0.0000 5.9632
Sc Ga
10 6
Direct
0.1548 0.8452 0.0000 Sc
0.1786 0.8214 0.5000 Sc
0.2580 0.4989 0.7552 Sc
0.2633 0.2633 0.2577 Sc
0.4989 0.2580 0.7552 Sc
0.5011 0.7420 0.2448 Sc
0.7367 0.7367 0.7423 Sc
0.7420 0.5011 0.2448 Sc
0.8214 0.1786 0.5000 Sc
0.8452 0.1548 0.0000 Sc
0.0966 0.0966 0.7075 Ga
0.0995 0.5002 0.2275 Ga
0.5002 0.0995 0.2275 Ga
0.4998 0.9005 0.7725 Ga
0.9005 0.4998 0.7725 Ga
0.9034 0.9034 0.2925 Ga
```

**ρ**: 4.2 g/cm3



two:
First-principles (PBE) data for crystalline Sc5Ga3 at its relaxed geometry, as listed in Materials Project.

POSCAR file:
```
Sc5Ga3
1.0
8.1137 0.0000 0.0000
-4.0569 7.0267 0.0000
0.0000 0.0000 5.9533
Sc Ga
10 6
Direct
0.0000 0.2414 0.2500 Sc
0.0000 0.7586 0.7500 Sc
0.2414 0.0000 0.2500 Sc
0.2414 0.2414 0.7500 Sc
0.3333 0.6667 0.0000 Sc
0.3333 0.6667 0.5000 Sc
0.6667 0.3333 0.0000 Sc
0.6667 0.3333 0.5000 Sc
0.7586 0.0000 0.7500 Sc
0.7586 0.7586 0.2500 Sc
0.0000 0.3995 0.7500 Ga
0.0000 0.6005 0.2500 Ga
0.3995 0.0000 0.7500 Ga
0.3995 0.3995 0.2500 Ga
0.6005 0.0000 0.2500 Ga
0.6005 0.6005 0.7500 Ga
```

**ρ**: 4.2 g/cm3



How do the energies compare? Relative to the most stable structure, in kJ/mol of atoms: one 0.0; two 0.7.